(1)
Density functional theory data (PBE with a Hubbard U) for a geometry-optimized MgCo5NiO12 structure.

```
MgCo5NiO12
1.0
2.431 4.227 0.004
-2.452 4.227 -0.025
0.058 -0.025 9.995
Co O Mg Ni
5 12 1 1
direct
0.333 0.333 0.004
0.167 0.667 0.497
0.500 0.003 0.492
0.833 0.334 0.497
0.670 0.663 0.009
0.323 0.009 0.097
0.161 0.340 0.403
0.668 0.326 0.097
0.008 0.668 0.097
0.842 0.999 0.403
0.338 0.669 0.902
0.174 0.998 0.598
0.663 0.994 0.902
0.498 0.339 0.596
0.822 0.673 0.599
0.005 0.327 0.904
0.501 0.658 0.403
0.493 0.836 0.750
0.001 0.999 0.000
```

## Properties
Polymorph energy (0 for the lowest one): 0.31 kJ per mole of atoms
Formation energy from the elements: -1.224 eV/atom
VASP energy: -5.61 eV per atom

---

(2)
Density functional theory data (PBE with a Hubbard U) for a geometry-optimized Ba3MnV4O14 structure.

```
Ba3MnV4O14
1.0
14.261 0.000 0.000
0.000 7.314 0.000
0.000 4.639 13.595
Mn O V Ba
4 56 16 12
direct
0.400 0.376 0.507
0.100 0.376 0.007
0.900 0.624 0.993
0.600 0.624 0.493
0.247 0.387 0.517
0.557 0.997 0.673
0.278 0.853 0.423
0.722 0.147 0.577
0.476 0.812 0.178
0.756 0.304 0.303
0.611 0.950 0.484
0.426 0.456 0.923
0.445 0.669 0.515
0.222 0.312 0.330
0.555 0.331 0.485
0.633 0.918 0.977
0.110 0.512 0.853
0.747 0.613 0.983
0.599 0.726 0.337
0.599 0.097 0.199
0.390 0.512 0.353
0.111 0.050 0.016
0.253 0.387 0.017
0.278 0.312 0.830
0.943 0.997 0.173
0.574 0.544 0.077
0.867 0.918 0.477
0.367 0.082 0.023
0.901 0.097 0.699
0.744 0.304 0.803
0.778 0.688 0.670
0.722 0.688 0.170
0.256 0.696 0.197
0.524 0.188 0.822
0.443 0.003 0.327
0.753 0.613 0.483
0.074 0.456 0.423
0.901 0.726 0.837
0.055 0.669 0.015
0.875 0.603 0.309
0.375 0.397 0.191
0.057 0.003 0.827
0.926 0.544 0.577
0.133 0.082 0.523
0.610 0.488 0.647
0.222 0.853 0.923
0.024 0.812 0.678
0.401 0.274 0.663
0.945 0.331 0.985
0.099 0.903 0.301
0.890 0.488 0.147
0.389 0.050 0.516
0.125 0.397 0.691
0.244 0.696 0.697
0.976 0.188 0.322
0.099 0.274 0.163
0.778 0.147 0.077
0.625 0.603 0.809
0.401 0.903 0.801
0.889 0.950 0.984
0.972 0.904 0.759
0.028 0.096 0.241
0.669 0.698 0.051
0.528 0.904 0.259
0.331 0.302 0.949
0.831 0.698 0.551
0.111 0.892 0.950
0.188 0.488 0.767
0.389 0.892 0.450
0.889 0.108 0.050
0.312 0.488 0.267
0.611 0.108 0.550
0.812 0.512 0.233
0.472 0.096 0.741
0.169 0.302 0.449
0.688 0.512 0.733
0.771 0.944 0.295
0.271 0.056 0.205
0.391 0.726 0.015
0.054 0.607 0.220
0.891 0.274 0.485
0.609 0.274 0.985
0.554 0.393 0.280
0.109 0.726 0.515
0.446 0.607 0.720
0.946 0.393 0.780
0.729 0.944 0.795
0.229 0.056 0.705
```

## Properties
Formation energy from the elements: -2.644 eV/atom
VASP energy: -7.30 eV per atom

---

(3)
Density functional theory data (PBE with a Hubbard U) for a geometry-optimized CrSO9 structure.

```
CrSO9
1.0
5.515 0.000 0.000
1.997 5.560 0.000
0.995 2.196 9.970
O Cr S
18 2 2
direct
0.161 0.291 0.677
0.793 0.275 0.884
0.588 0.571 0.066
0.412 0.429 0.934
0.390 0.956 0.276
0.303 0.522 0.430
0.839 0.709 0.323
0.162 0.183 0.044
0.967 0.766 0.564
0.838 0.817 0.956
0.737 0.080 0.149
0.353 0.884 0.618
0.647 0.116 0.382
0.610 0.044 0.724
0.207 0.725 0.116
0.033 0.234 0.436
0.263 0.920 0.851
0.697 0.478 0.570
0.000 0.000 0.000
0.000 0.500 0.500
0.349 0.034 0.715
0.651 0.966 0.285
```

## Properties
Formation energy from the elements: -0.612 eV/atom
VASP energy: -5.17 eV per atom

---

(4)
Density functional theory data (PBE with a Hubbard U) for a geometry-optimized Li2CuMoF6 structure.

```
Li2CuMoF6
1.0
5.935 0.000 0.000
2.968 5.140 0.000
2.968 1.713 4.846
Cu F Li Mo
1 6 2 1
direct
0.500 0.500 0.500
0.246 0.754 0.246
0.754 0.246 0.246
0.246 0.246 0.754
0.754 0.246 0.754
0.246 0.754 0.754
0.754 0.754 0.246
0.250 0.250 0.250
0.750 0.750 0.750
0.000 0.000 0.000
```

## Properties
Formation energy from the elements: -2.261 eV/atom
VASP energy: -4.69 eV per atom

---

(5)
Density functional theory data (PBE with a Hubbard U) for a geometry-optimized Li9Mn2Co5O16 structure.

```
Li9Mn2Co5O16
1.0
-2.939 3.551 -3.674
-5.357 -3.379 -1.362
-2.925 2.660 6.657
Li Co O Mn
9 5 16 2
direct
0.746 0.499 0.499
0.797 0.617 0.858
0.692 0.380 0.135
0.942 0.870 0.624
0.314 0.616 0.870
0.052 0.136 0.386
0.432 0.866 0.617
0.572 0.134 0.383
0.191 0.379 0.128
0.878 0.750 0.256
0.505 0.998 0.001
0.121 0.249 0.746
0.627 0.255 0.739
0.249 0.502 0.504
0.104 0.710 0.081
0.431 0.282 0.934
0.918 0.295 0.930
0.638 0.812 0.408
0.045 0.539 0.689
0.202 0.956 0.819
0.967 0.466 0.314
0.172 0.809 0.428
0.573 0.707 0.065
0.517 0.554 0.684
0.801 0.044 0.183
0.739 0.940 0.841
0.831 0.181 0.572
0.336 0.194 0.574
0.452 0.460 0.311
0.275 0.048 0.167
0.379 0.750 0.253
0.001 0.002 0.000
```

## Properties
Polymorph energy (0 for the lowest one): 5.97 kJ per mole of atoms
Formation energy from the elements: -1.802 eV/atom
VASP energy: -5.79 eV per atom

---

(6)
Density functional theory data (PBE with a Hubbard U) for a geometry-optimized Co2SiO4 structure.

```
Co2SiO4
1.0
-4.105 -4.105 0.000
-4.105 0.000 -4.105
0.000 -4.105 -4.105
Si Co O
2 4 8
direct
0.750 0.750 0.750
0.000 0.000 0.000
0.375 0.375 0.375
0.375 0.375 0.875
0.375 0.875 0.375
0.875 0.375 0.375
0.633 0.633 0.633
0.102 0.633 0.633
0.633 0.633 0.102
0.648 0.117 0.117
0.633 0.102 0.633
0.117 0.117 0.648
0.117 0.648 0.117
0.117 0.117 0.117
```

## Properties
Polymorph energy (0 for the lowest one): 6.15 kJ per mole of atoms
Formation energy from the elements: -2.073 eV/atom
VASP energy: -6.85 eV per atom

---

(7)
Density functional theory data (PBE with a Hubbard U) for a geometry-optimized MgCrFeO4 structure.

```
MgCrFeO4
1.0
-3.011 3.018 4.264
3.011 -3.018 4.264
3.011 3.018 -4.264
O Fe Mg Cr
8 2 2 2
direct
0.259 0.739 0.520
0.740 0.717 0.478
0.281 0.261 0.020
0.260 0.738 0.978
0.740 0.262 0.022
0.741 0.261 0.480
0.260 0.283 0.522
0.719 0.739 0.980
0.500 0.000 0.000
0.500 0.500 0.500
0.876 0.126 0.750
0.124 0.874 0.250
0.000 0.500 0.500
0.500 0.500 0.000
```

## Properties
Formation energy from the elements: -2.361 eV/atom
VASP energy: -7.01 eV per atom

---

(8)
Density functional theory data (PBE with a Hubbard U) for a geometry-optimized Li2MnF5 structure.

```
Li2MnF5
1.0
-4.445 3.052 3.359
-4.300 -0.309 -5.408
-3.478 -8.653 3.260
Li F Mn
8 20 4
direct
0.261 0.549 0.675
0.738 0.254 0.546
0.239 0.549 0.175
0.761 0.049 0.825
0.238 0.754 0.954
0.739 0.049 0.325
0.262 0.754 0.454
0.762 0.254 0.046
0.246 0.300 0.106
0.055 0.731 0.597
0.760 0.477 0.642
0.445 0.731 0.097
0.464 0.729 0.599
0.258 0.514 0.862
0.945 0.231 0.403
0.036 0.729 0.099
0.240 0.977 0.358
0.754 0.800 0.894
0.242 0.514 0.362
0.758 0.014 0.638
0.964 0.229 0.901
0.555 0.231 0.903
0.742 0.014 0.138
0.740 0.477 0.142
0.536 0.229 0.401
0.254 0.300 0.606
0.746 0.800 0.394
0.260 0.977 0.858
0.241 0.237 0.408
0.259 0.237 0.908
0.759 0.737 0.592
0.741 0.737 0.092
```

## Properties
Polymorph energy (0 for the lowest one): 6.05 kJ per mole of atoms
Formation energy from the elements: -2.934 eV/atom
VASP energy: -5.26 eV per atom